(P)
Here is Rb4LiH3S4O16 after structural relaxation from Materials Project. Energies are from PBE.

abc: 7.748 7.748 30.005
angles: 90.00 90.00 90.00
Element x y z (fractional)
1 Rb 0.935 0.114 0.475
2 Rb 0.065 0.886 0.975
3 Rb 0.114 0.065 0.725
4 Rb 0.886 0.935 0.225
5 Rb 0.519 0.227 0.370
6 Rb 0.481 0.773 0.870
7 Rb 0.227 0.481 0.620
8 Rb 0.773 0.519 0.120
9 Rb 0.636 0.618 0.488
10 Rb 0.364 0.382 0.988
11 Rb 0.618 0.364 0.738
12 Rb 0.382 0.636 0.238
13 Rb 0.024 0.529 0.360
14 Rb 0.976 0.471 0.860
15 Rb 0.529 0.976 0.610
16 Rb 0.471 0.024 0.110
17 Li 0.279 0.871 0.422
18 Li 0.721 0.129 0.922
19 Li 0.871 0.721 0.672
20 Li 0.129 0.279 0.172
21 H 0.072 0.784 0.539
22 H 0.928 0.216 0.039
23 H 0.784 0.928 0.789
24 H 0.216 0.072 0.289
25 H 0.313 0.318 0.524
26 H 0.687 0.682 0.024
27 H 0.318 0.687 0.774
28 H 0.682 0.313 0.274
29 H 0.732 0.846 0.323
30 H 0.268 0.154 0.823
31 H 0.846 0.268 0.573
32 H 0.154 0.732 0.073
33 S 0.126 0.586 0.486
34 S 0.874 0.414 0.986
35 S 0.586 0.874 0.736
36 S 0.414 0.126 0.236
37 S 0.463 0.125 0.488
38 S 0.537 0.875 0.988
39 S 0.125 0.537 0.738
40 S 0.875 0.463 0.238
41 S 0.537 0.696 0.360
42 S 0.463 0.304 0.860
43 S 0.696 0.463 0.610
44 S 0.304 0.537 0.110
45 S 0.007 0.036 0.356
46 S 0.993 0.964 0.856
47 S 0.036 0.993 0.606
48 S 0.964 0.007 0.106
49 O 0.259 0.653 0.455
50 O 0.741 0.347 0.955
51 O 0.653 0.741 0.705
52 O 0.347 0.259 0.205
53 O 0.028 0.745 0.507
54 O 0.972 0.255 0.007
55 O 0.745 0.972 0.757
56 O 0.255 0.028 0.257
57 O 0.205 0.494 0.524
58 O 0.795 0.506 0.024
59 O 0.494 0.795 0.774
60 O 0.506 0.205 0.274
61 O 0.994 0.488 0.462
62 O 0.006 0.512 0.962
63 O 0.488 0.006 0.712
64 O 0.512 0.994 0.212
65 O 0.559 0.977 0.506
66 O 0.441 0.023 0.006
67 O 0.977 0.441 0.756
68 O 0.023 0.559 0.256
69 O 0.574 0.256 0.467
70 O 0.426 0.744 0.967
71 O 0.256 0.426 0.717
72 O 0.744 0.574 0.217
73 O 0.379 0.209 0.531
74 O 0.621 0.791 0.031
75 O 0.209 0.621 0.781
76 O 0.791 0.379 0.281
77 O 0.318 0.077 0.459
78 O 0.682 0.923 0.959
79 O 0.077 0.682 0.709
80 O 0.923 0.318 0.209
81 O 0.893 0.166 0.377
82 O 0.107 0.834 0.877
83 O 0.166 0.107 0.627
84 O 0.834 0.893 0.127
85 O 0.071 0.914 0.391
86 O 0.929 0.086 0.891
87 O 0.914 0.929 0.641
88 O 0.086 0.071 0.141
89 O 0.912 0.937 0.321
90 O 0.088 0.063 0.821
91 O 0.937 0.088 0.571
92 O 0.063 0.912 0.071
93 O 0.158 0.126 0.334
94 O 0.842 0.874 0.834
95 O 0.126 0.842 0.584
96 O 0.874 0.158 0.084
97 O 0.487 0.846 0.388
98 O 0.513 0.154 0.888
99 O 0.846 0.513 0.638
100 O 0.154 0.487 0.138
101 O 0.391 0.596 0.343
102 O 0.609 0.404 0.843
103 O 0.596 0.609 0.593
104 O 0.404 0.391 0.093
105 O 0.624 0.773 0.317
106 O 0.376 0.227 0.817
107 O 0.773 0.376 0.567
108 O 0.227 0.624 0.067
109 O 0.664 0.587 0.384
110 O 0.336 0.413 0.884
111 O 0.587 0.336 0.634
112 O 0.413 0.664 0.134

---

(Q)
Here is Rb4LiH3S4O16 after structural relaxation from Materials Project. Energies are from PBE.

abc: 30.624 7.651 7.759
angles: 88.70 90.00 90.00
Element x y z (fractional)
1 Rb 0.540 0.995 0.758
2 Rb 0.040 0.005 0.242
3 Rb 0.309 0.980 0.013
4 Rb 0.809 0.020 0.987
5 Rb 0.195 0.386 0.924
6 Rb 0.695 0.614 0.076
7 Rb 0.421 0.843 0.389
8 Rb 0.921 0.157 0.611
9 Rb 0.302 0.275 0.500
10 Rb 0.802 0.725 0.500
11 Rb 0.057 0.529 0.503
12 Rb 0.557 0.471 0.497
13 Rb 0.183 0.879 0.633
14 Rb 0.683 0.121 0.367
15 Rb 0.430 0.548 0.872
16 Rb 0.930 0.452 0.128
17 Li 0.483 0.179 0.135
18 Li 0.983 0.821 0.865
19 Li 0.246 0.624 0.266
20 Li 0.746 0.376 0.734
21 H 0.627 0.276 0.934
22 H 0.127 0.724 0.066
23 H 0.339 0.644 0.747
24 H 0.839 0.356 0.253
25 H 0.394 0.192 0.662
26 H 0.894 0.808 0.338
27 H 0.095 0.228 0.834
28 H 0.595 0.772 0.166
29 H 0.140 0.184 0.307
30 H 0.640 0.816 0.693
31 H 0.504 0.504 0.148
32 H 0.004 0.496 0.852
33 S 0.179 0.913 0.126
34 S 0.679 0.087 0.874
35 S 0.305 0.796 0.535
36 S 0.805 0.204 0.465
37 S 0.427 0.032 0.864
38 S 0.927 0.968 0.136
39 S 0.557 0.964 0.300
40 S 0.057 0.036 0.700
41 S 0.176 0.376 0.456
42 S 0.676 0.624 0.544
43 S 0.436 0.365 0.413
44 S 0.936 0.635 0.587
45 S 0.058 0.502 0.031
46 S 0.558 0.498 0.969
47 S 0.304 0.454 0.991
48 S 0.804 0.546 0.009
49 O 0.207 0.830 0.257
50 O 0.707 0.170 0.743
51 O 0.157 0.758 0.017
52 O 0.657 0.242 0.983
53 O 0.141 0.005 0.203
54 O 0.641 0.995 0.797
55 O 0.203 0.015 0.997
56 O 0.703 0.985 0.003
57 O 0.278 0.646 0.483
58 O 0.778 0.354 0.517
59 O 0.346 0.718 0.629
60 O 0.846 0.282 0.371
61 O 0.323 0.897 0.387
62 O 0.823 0.103 0.613
63 O 0.281 0.908 0.657
64 O 0.781 0.092 0.343
65 O 0.447 0.916 0.738
66 O 0.947 0.084 0.262
67 O 0.458 0.175 0.909
68 O 0.958 0.825 0.091
69 O 0.386 0.121 0.779
70 O 0.886 0.879 0.221
71 O 0.411 0.939 0.018
72 O 0.911 0.061 0.982
73 O 0.572 0.113 0.398
74 O 0.072 0.887 0.602
75 O 0.535 0.829 0.404
76 O 0.035 0.171 0.596
77 O 0.602 0.881 0.231
78 O 0.102 0.119 0.769
79 O 0.532 0.013 0.144
80 O 0.032 0.987 0.856
81 O 0.205 0.429 0.312
82 O 0.705 0.571 0.688
83 O 0.158 0.522 0.553
84 O 0.658 0.478 0.447
85 O 0.195 0.239 0.566
86 O 0.695 0.761 0.434
87 O 0.133 0.296 0.368
88 O 0.633 0.704 0.632
89 O 0.463 0.208 0.364
90 O 0.963 0.792 0.636
91 O 0.396 0.299 0.505
92 O 0.896 0.701 0.495
93 O 0.462 0.475 0.532
94 O 0.962 0.525 0.468
95 O 0.424 0.469 0.257
96 O 0.924 0.531 0.743
97 O 0.271 0.589 0.042
98 O 0.771 0.411 0.958
99 O 0.022 0.590 0.900
100 O 0.522 0.410 0.100
101 O 0.034 0.379 0.139
102 O 0.534 0.621 0.861
103 O 0.090 0.423 0.916
104 O 0.590 0.577 0.084
105 O 0.076 0.652 0.122
106 O 0.576 0.348 0.878
107 O 0.284 0.333 0.866
108 O 0.784 0.667 0.134
109 O 0.341 0.554 0.903
110 O 0.841 0.446 0.097
111 O 0.321 0.357 0.143
112 O 0.821 0.643 0.857

---

Which one is most stable, and which one is least stable? (P) is the most stable of them, while (Q) is the least stable.

---

(P)
Here is Li2SnH10O8 after structural relaxation from Materials Project. Energies are from PBE.

abc: 7.071 5.063 10.651
angles: 70.80 90.00 90.00
Element x y z (fractional)
1 Li 0.774 0.379 0.677
2 Li 0.726 0.379 0.177
3 Li 0.226 0.621 0.323
4 Li 0.274 0.621 0.823
5 Sn 0.500 0.000 0.500
6 Sn 0.000 0.000 0.000
7 H 0.826 0.900 0.602
8 H 0.674 0.900 0.102
9 H 0.174 0.100 0.398
10 H 0.326 0.100 0.898
11 H 0.449 0.343 0.638
12 H 0.051 0.343 0.138
13 H 0.551 0.657 0.362
14 H 0.949 0.657 0.862
15 H 0.217 0.672 0.585
16 H 0.283 0.672 0.085
17 H 0.783 0.328 0.415
18 H 0.717 0.328 0.915
19 H 0.025 0.054 0.706
20 H 0.475 0.054 0.206
21 H 0.975 0.946 0.294
22 H 0.525 0.946 0.794
23 H 0.095 0.222 0.554
24 H 0.405 0.222 0.054
25 H 0.905 0.778 0.446
26 H 0.595 0.778 0.946
27 O 0.748 0.773 0.571
28 O 0.752 0.773 0.071
29 O 0.252 0.227 0.429
30 O 0.248 0.227 0.929
31 O 0.539 0.187 0.647
32 O 0.961 0.187 0.147
33 O 0.461 0.813 0.353
34 O 0.039 0.813 0.853
35 O 0.336 0.677 0.632
36 O 0.164 0.677 0.132
37 O 0.664 0.323 0.368
38 O 0.836 0.323 0.868
39 O 0.989 0.202 0.619
40 O 0.511 0.202 0.119
41 O 0.011 0.798 0.381
42 O 0.489 0.798 0.881

---

(Q)
Here is Li2SnH10O8 after structural relaxation from Materials Project. Energies are from PBE.

abc: 10.504 6.096 6.138
angles: 62.00 90.00 90.00
Element x y z (fractional)
1 Li 0.064 0.345 0.826
2 Li 0.564 0.155 0.174
3 Li 0.936 0.655 0.174
4 Li 0.436 0.845 0.826
5 Sn 0.000 0.000 0.500
6 Sn 0.500 0.500 0.500
7 H 0.123 0.386 0.433
8 H 0.623 0.114 0.567
9 H 0.877 0.614 0.567
10 H 0.377 0.886 0.433
11 H 0.793 0.288 0.350
12 H 0.293 0.212 0.650
13 H 0.207 0.712 0.650
14 H 0.707 0.788 0.350
15 H 0.195 0.133 0.199
16 H 0.695 0.367 0.801
17 H 0.805 0.867 0.801
18 H 0.305 0.633 0.199
19 H 0.875 0.150 0.856
20 H 0.375 0.350 0.144
21 H 0.125 0.850 0.144
22 H 0.625 0.650 0.856
23 H 0.868 0.301 0.023
24 H 0.368 0.199 0.977
25 H 0.132 0.699 0.977
26 H 0.632 0.801 0.023
27 O 0.116 0.226 0.587
28 O 0.616 0.274 0.413
29 O 0.884 0.774 0.413
30 O 0.384 0.726 0.587
31 O 0.881 0.307 0.284
32 O 0.381 0.193 0.716
33 O 0.119 0.693 0.716
34 O 0.619 0.807 0.284
35 O 0.106 0.099 0.176
36 O 0.606 0.401 0.824
37 O 0.894 0.901 0.824
38 O 0.394 0.599 0.176
39 O 0.870 0.319 0.850
40 O 0.370 0.181 0.150
41 O 0.130 0.681 0.150
42 O 0.630 0.819 0.850

---

Which one is most stable, and which one is least stable? (Q) is the most stable of them, while (P) is the least stable.

---

(P)
Here is Mg3H2S2O10 after structural relaxation from Materials Project. Energies are from PBE.

abc: 5.163 5.567 7.516
angles: 68.26 69.68 90.00
Element x y z (fractional)
1 Mg 0.500 0.000 0.500
2 Mg 0.500 0.000 0.000
3 Mg 0.500 0.500 0.000
4 H 0.813 0.897 0.707
5 H 0.187 0.103 0.293
6 S 0.866 0.623 0.254
7 S 0.134 0.377 0.746
8 O 0.609 0.868 0.764
9 O 0.391 0.132 0.236
10 O 0.705 0.693 0.113
11 O 0.198 0.217 0.623
12 O 0.198 0.660 0.623
13 O 0.170 0.690 0.120
14 O 0.295 0.307 0.887
15 O 0.802 0.783 0.377
16 O 0.802 0.340 0.377
17 O 0.830 0.310 0.880

---

(Q)
Here is Mg3H2S2O10 after structural relaxation from Materials Project. Energies are from PBE.

abc: 7.543 7.543 13.129
angles: 90.00 90.00 90.00
Element x y z (fractional)
1 Mg 0.398 0.142 0.243
2 Mg 0.602 0.858 0.743
3 Mg 0.358 0.898 0.493
4 Mg 0.102 0.642 0.007
5 Mg 0.642 0.102 0.993
6 Mg 0.898 0.358 0.507
7 Mg 0.142 0.398 0.757
8 Mg 0.858 0.602 0.257
9 Mg 0.373 0.373 0.000
10 Mg 0.627 0.627 0.500
11 Mg 0.127 0.873 0.250
12 Mg 0.873 0.127 0.750
13 H 0.177 0.098 0.388
14 H 0.823 0.902 0.888
15 H 0.402 0.677 0.638
16 H 0.323 0.598 0.862
17 H 0.598 0.323 0.138
18 H 0.677 0.402 0.362
19 H 0.098 0.177 0.612
20 H 0.902 0.823 0.112
21 S 0.002 0.250 0.124
22 S 0.998 0.750 0.624
23 S 0.250 0.502 0.374
24 S 0.498 0.750 0.126
25 S 0.750 0.498 0.874
26 S 0.502 0.250 0.626
27 S 0.250 0.002 0.876
28 S 0.750 0.998 0.376
29 O 0.142 0.391 0.442
30 O 0.858 0.609 0.942
31 O 0.109 0.642 0.692
32 O 0.358 0.891 0.808
33 O 0.891 0.358 0.192
34 O 0.642 0.109 0.308
35 O 0.391 0.142 0.558
36 O 0.609 0.858 0.058
37 O 0.123 0.131 0.184
38 O 0.877 0.869 0.684
39 O 0.369 0.623 0.434
40 O 0.377 0.631 0.066
41 O 0.631 0.377 0.934
42 O 0.623 0.369 0.566
43 O 0.131 0.123 0.816
44 O 0.869 0.877 0.316
45 O 0.259 0.009 0.361
46 O 0.741 0.991 0.861
47 O 0.491 0.759 0.611
48 O 0.241 0.509 0.889
49 O 0.509 0.241 0.111
50 O 0.759 0.491 0.389
51 O 0.009 0.259 0.639
52 O 0.991 0.741 0.139
53 O 0.359 0.390 0.307
54 O 0.641 0.610 0.807
55 O 0.110 0.859 0.557
56 O 0.141 0.890 0.943
57 O 0.890 0.141 0.057
58 O 0.859 0.110 0.443
59 O 0.390 0.359 0.693
60 O 0.610 0.641 0.193
61 O 0.118 0.371 0.062
62 O 0.882 0.629 0.562
63 O 0.129 0.618 0.312
64 O 0.382 0.871 0.188
65 O 0.871 0.382 0.812
66 O 0.618 0.129 0.688
67 O 0.371 0.118 0.938
68 O 0.629 0.882 0.438

---

Which one is most stable, and which one is least stable? (Q) is the most stable of them, while (P) is the least stable.